Sr3MoN4 | r²SCAN | optimized geometry

Geometry as POSCAR:
```
Sr3MoN4
1.0
5.161 8.938 0.000
-5.161 8.938 0.000
0.000 1.370 9.814
Sr N Mo
18 24 6
direct
0.050 0.305 0.046 Sr
0.361 0.683 0.412 Sr
0.305 0.050 0.546 Sr
0.639 0.317 0.588 Sr
0.317 0.639 0.088 Sr
0.013 0.987 0.750 Sr
0.612 0.080 0.100 Sr
0.950 0.695 0.954 Sr
0.388 0.920 0.900 Sr
0.695 0.950 0.454 Sr
0.080 0.612 0.600 Sr
0.349 0.280 0.798 Sr
0.720 0.651 0.702 Sr
0.987 0.013 0.250 Sr
0.651 0.720 0.202 Sr
0.920 0.388 0.400 Sr
0.683 0.361 0.912 Sr
0.280 0.349 0.298 Sr
0.143 0.137 0.308 N
0.156 0.649 0.336 N
0.727 0.172 0.377 N
0.482 0.987 0.316 N
0.863 0.857 0.192 N
0.502 0.368 0.156 N
0.145 0.335 0.557 N
0.828 0.273 0.123 N
0.632 0.498 0.344 N
0.368 0.502 0.656 N
0.855 0.665 0.443 N
0.857 0.863 0.692 N
0.172 0.727 0.877 N
0.665 0.855 0.943 N
0.844 0.351 0.664 N
0.335 0.145 0.057 N
0.013 0.518 0.184 N
0.987 0.482 0.816 N
0.137 0.143 0.808 N
0.649 0.156 0.836 N
0.498 0.632 0.844 N
0.351 0.844 0.164 N
0.518 0.013 0.684 N
0.273 0.828 0.623 N
0.666 0.334 0.250 Mo
0.334 0.666 0.750 Mo
0.027 0.324 0.712 Mo
0.676 0.973 0.788 Mo
0.973 0.676 0.288 Mo
0.324 0.027 0.212 Mo
```

Computed properties:
Symmetry: C2/c (15)
Total magnetic moment in μB/cell: 0.000
Formation enthalpy at 0 K in eV/atom: -1.141
Crystal system: monoclinic

***

Zn3MoN4 | r²SCAN | optimized geometry

Geometry as POSCAR:
```
Zn3MoN4
1.0
6.501 0.000 0.000
0.000 5.625 0.000
0.000 0.000 5.305
Zn N Mo
6 8 2
direct
0.252 0.832 0.731 Zn
0.752 0.168 0.231 Zn
0.248 0.168 0.231 Zn
0.500 0.666 0.230 Zn
0.000 0.334 0.730 Zn
0.748 0.832 0.731 Zn
0.000 0.671 0.578 N
0.263 0.174 0.614 N
0.500 0.642 0.613 N
0.763 0.826 0.114 N
0.237 0.826 0.114 N
0.000 0.358 0.113 N
0.737 0.174 0.614 N
0.500 0.329 0.078 N
0.500 0.330 0.729 Mo
0.000 0.670 0.229 Mo
```

Computed properties:
Symmetry: Pmn2_1 (31)
Total magnetic moment in μB/cell: 0.000
Formation enthalpy at 0 K in eV/atom: -0.387
Crystal system: orthorhombic

***

ZnMoN2 | r²SCAN | optimized geometry

Geometry as POSCAR:
```
ZnMoN2
1.0
-2.127 1.604 1.193
-0.382 -2.866 -0.398
4.307 -2.017 10.395
N Zn Mo
4 2 2
direct
0.667 0.333 0.502 N
0.000 0.000 0.002 N
0.667 0.333 0.724 N
0.000 0.000 0.224 N
0.667 0.333 0.337 Zn
0.000 0.000 0.837 Zn
0.667 0.333 0.108 Mo
0.000 0.000 0.608 Mo
```

Computed properties:
Symmetry: P6_3mc (186)
Total magnetic moment in μB/cell: 0.000
Formation enthalpy at 0 K in eV/atom: -0.452
Crystal system: hexagonal

***

Na3MoO4 | r²SCAN | optimized geometry

Geometry as POSCAR:
```
Na3MoO4
1.0
5.502 0.000 0.000
0.000 5.930 0.000
0.000 0.000 7.506
Na O Mo
6 8 2
direct
0.992 0.652 0.500 Na
0.505 0.836 0.743 Na
0.005 0.164 0.243 Na
0.492 0.348 0.000 Na
0.505 0.836 0.257 Na
0.005 0.164 0.757 Na
0.907 0.378 0.000 O
0.421 0.214 0.284 O
0.921 0.786 0.784 O
0.844 0.278 0.500 O
0.407 0.622 0.500 O
0.421 0.214 0.716 O
0.344 0.722 0.000 O
0.921 0.786 0.216 O
0.517 0.330 0.500 Mo
0.017 0.670 0.000 Mo
```

Computed properties:
Symmetry: Pmn2_1 (31)
Total magnetic moment in μB/cell: 2.000
Formation enthalpy at 0 K in eV/atom: -2.007
Crystal system: orthorhombic

***

Na2Mo2O7 | r²SCAN | optimized geometry

Geometry as POSCAR:
```
Na2Mo2O7
1.0
3.588 -5.892 0.000
3.588 5.892 0.000
0.000 0.000 14.695
O Mo Na
28 8 8
direct
0.861 0.139 0.999 O
0.361 0.639 0.501 O
0.530 0.067 0.345 O
0.190 0.209 0.162 O
0.791 0.810 0.162 O
0.433 0.970 0.155 O
0.690 0.709 0.338 O
0.139 0.861 0.001 O
0.621 0.379 0.218 O
0.623 0.377 0.971 O
0.879 0.121 0.718 O
0.810 0.791 0.838 O
0.310 0.291 0.662 O
0.121 0.879 0.282 O
0.291 0.310 0.338 O
0.933 0.470 0.345 O
0.639 0.361 0.499 O
0.067 0.530 0.655 O
0.030 0.567 0.155 O
0.377 0.623 0.029 O
0.123 0.877 0.529 O
0.209 0.190 0.838 O
0.877 0.123 0.471 O
0.567 0.030 0.845 O
0.379 0.621 0.782 O
0.709 0.690 0.662 O
0.970 0.433 0.845 O
0.470 0.933 0.655 O
0.831 0.669 0.250 Mo
0.169 0.331 0.750 Mo
0.331 0.169 0.250 Mo
0.253 0.747 0.584 Mo
0.669 0.831 0.750 Mo
0.747 0.253 0.416 Mo
0.753 0.247 0.916 Mo
0.247 0.753 0.084 Mo
0.319 0.681 0.345 Na
0.681 0.319 0.655 Na
0.747 0.747 0.500 Na
0.253 0.253 0.500 Na
0.247 0.247 0.000 Na
0.181 0.819 0.845 Na
0.819 0.181 0.155 Na
0.753 0.753 0.000 Na
```

Computed properties:
Symmetry: Cmce (64)
Total magnetic moment in μB/cell: 0.000
Formation enthalpy at 0 K in eV/atom: -2.235
Crystal system: orthorhombic

***

Na4MoO5 | r²SCAN | optimized geometry

Geometry as POSCAR:
```
Na4MoO5
1.0
5.597 0.003 0.009
-1.079 9.814 0.010
-1.118 -4.063 8.951
Na O Mo
16 20 4
direct
0.760 0.055 0.463 Na
0.782 0.452 0.066 Na
0.492 0.896 0.089 Na
0.016 0.806 0.194 Na
0.002 0.399 0.599 Na
0.218 0.548 0.934 Na
0.000 0.000 0.000 Na
0.718 0.848 0.641 Na
0.508 0.104 0.911 Na
0.264 0.356 0.157 Na
0.500 0.500 0.500 Na
0.998 0.601 0.401 Na
0.984 0.194 0.806 Na
0.736 0.644 0.843 Na
0.282 0.152 0.359 Na
0.240 0.945 0.537 Na
0.596 0.532 0.287 O
0.195 0.190 0.597 O
0.884 0.041 0.227 O
0.623 0.678 0.090 O
0.377 0.322 0.910 O
0.335 0.729 0.573 O
0.400 0.884 0.318 O
0.805 0.810 0.403 O
0.192 0.602 0.191 O
0.600 0.116 0.682 O
0.544 0.849 0.851 O
0.456 0.151 0.149 O
0.116 0.959 0.773 O
0.137 0.771 0.931 O
0.063 0.356 0.350 O
0.808 0.398 0.809 O
0.404 0.468 0.713 O
0.863 0.229 0.069 O
0.665 0.271 0.427 O
0.937 0.644 0.650 O
0.785 0.216 0.248 Mo
0.215 0.784 0.752 Mo
0.479 0.300 0.737 Mo
0.521 0.700 0.263 Mo
```

Computed properties:
Symmetry: P-1 (2)
Total magnetic moment in μB/cell: 0.000
Formation enthalpy at 0 K in eV/atom: -2.092
Crystal system: triclinic

***

NaMo3P3O16 | r²SCAN | optimized geometry

Geometry as POSCAR:
```
NaMo3P3O16
1.0
6.408 0.026 0.013
0.967 7.524 0.030
2.435 1.976 12.407
O Na P Mo
32 2 6 6
direct
0.907 0.693 0.982 O
0.421 0.039 0.898 O
0.794 0.967 0.365 O
0.520 0.246 0.513 O
0.024 0.666 0.728 O
0.841 0.389 0.784 O
0.159 0.611 0.216 O
0.287 0.054 0.419 O
0.862 0.021 0.857 O
0.619 0.178 0.696 O
0.142 0.416 0.625 O
0.480 0.754 0.487 O
0.220 0.409 0.389 O
0.396 0.423 0.821 O
0.622 0.265 0.989 O
0.138 0.979 0.143 O
0.579 0.961 0.102 O
0.206 0.033 0.635 O
0.976 0.334 0.272 O
0.604 0.577 0.179 O
0.640 0.764 0.835 O
0.360 0.236 0.165 O
0.896 0.232 0.526 O
0.253 0.807 0.835 O
0.381 0.822 0.304 O
0.780 0.591 0.611 O
0.093 0.307 0.018 O
0.747 0.193 0.165 O
0.713 0.946 0.581 O
0.378 0.735 0.011 O
0.104 0.768 0.474 O
0.858 0.584 0.375 O
0.410 0.683 0.675 Na
0.590 0.317 0.325 Na
0.941 0.513 0.684 P
0.689 0.149 0.579 P
0.425 0.838 0.897 P
0.311 0.851 0.421 P
0.059 0.487 0.316 P
0.575 0.162 0.103 P
0.940 0.796 0.854 Mo
0.414 0.746 0.163 Mo
0.797 0.787 0.462 Mo
0.586 0.254 0.837 Mo
0.203 0.213 0.538 Mo
0.060 0.204 0.146 Mo
```

Computed properties:
Symmetry: P-1 (2)
Total magnetic moment in μB/cell: 0.000
Formation enthalpy at 0 K in eV/atom: -2.280
Crystal system: triclinic

***

Na5TbMo4O16 | r²SCAN | optimized geometry

Geometry as POSCAR:
```
Na5TbMo4O16
1.0
-5.682 5.682 5.652
5.682 -5.682 5.652
5.682 5.682 -5.652
O Mo Na Tb
32 8 10 2
direct
0.953 0.570 0.322 O
0.603 0.366 0.597 O
0.855 0.529 0.553 O
0.616 0.520 0.263 O
0.287 0.390 0.464 O
0.073 0.037 0.396 O
0.248 0.631 0.678 O
0.779 0.726 0.174 O
0.002 0.119 0.822 O
0.274 0.449 0.053 O
0.820 0.998 0.118 O
0.257 0.353 0.737 O
0.369 0.047 0.618 O
0.926 0.823 0.536 O
0.634 0.230 0.237 O
0.395 0.221 0.947 O
0.770 0.007 0.403 O
0.963 0.360 0.036 O
0.324 0.927 0.964 O
0.610 0.074 0.896 O
0.471 0.024 0.326 O
0.430 0.752 0.382 O
0.976 0.301 0.447 O
0.640 0.676 0.604 O
0.647 0.384 0.903 O
0.480 0.743 0.097 O
0.177 0.713 0.104 O
0.699 0.145 0.674 O
0.297 0.180 0.178 O
0.881 0.703 0.882 O
0.551 0.605 0.826 O
0.993 0.397 0.763 O
0.581 0.168 0.776 Mo
0.195 0.419 0.588 Mo
0.832 0.607 0.412 Mo
0.393 0.805 0.224 Mo
0.418 0.143 0.088 Mo
0.857 0.945 0.276 Mo
0.055 0.331 0.912 Mo
0.669 0.582 0.724 Mo
0.161 0.077 0.675 Na
0.403 0.486 0.325 Na
0.736 0.911 0.584 Na
0.847 0.264 0.175 Na
0.089 0.673 0.825 Na
0.514 0.839 0.916 Na
0.923 0.597 0.084 Na
0.327 0.153 0.416 Na
0.250 0.750 0.500 Na
0.000 0.000 0.000 Na
0.750 0.250 0.500 Tb
0.500 0.500 0.000 Tb
```

Computed properties:
Symmetry: I4_1/a (88)
Total magnetic moment in μB/cell: 0.000
Formation enthalpy at 0 K in eV/atom: -2.452
Crystal system: tetragonal

***

NaTe3Mo3 | r²SCAN | optimized geometry

Geometry as POSCAR:
```
NaTe3Mo3
1.0
9.401 -0.001 0.000
-4.701 8.140 0.000
0.000 0.000 4.597
Na Te Mo
2 6 6
direct
0.333 0.667 0.250 Na
0.667 0.333 0.750 Na
0.618 0.915 0.750 Te
0.085 0.703 0.750 Te
0.297 0.382 0.750 Te
0.382 0.085 0.250 Te
0.703 0.618 0.250 Te
0.915 0.297 0.250 Te
0.862 0.821 0.750 Mo
0.138 0.179 0.250 Mo
0.821 0.959 0.250 Mo
0.041 0.862 0.250 Mo
0.179 0.041 0.750 Mo
0.959 0.138 0.750 Mo
```

Computed properties:
Symmetry: P6_3/m (176)
Total magnetic moment in μB/cell: 0.000
Formation enthalpy at 0 K in eV/atom: -0.502
Crystal system: hexagonal

***

NbMo | r²SCAN | optimized geometry

Geometry as POSCAR:
```
NbMo
1.0
-1.618 -1.627 1.627
-1.618 1.627 -1.627
0.000 -3.200 -3.200
Mo Nb
1 1
direct
0.000 0.000 0.000 Mo
0.500 0.500 0.500 Nb
```

Computed properties:
Symmetry: Cmmm (65)
Total magnetic moment in μB/cell: 0.000
Formation enthalpy at 0 K in eV/atom: -0.069
Crystal system: orthorhombic

***

NbNi6Mo | r²SCAN | optimized geometry

Geometry as POSCAR:
```
NbNi6Mo
1.0
4.214 0.000 0.000
0.000 4.469 0.000
0.000 0.000 5.029
Nb Ni Mo
1 6 1
direct
0.000 0.346 0.000 Nb
0.000 0.839 0.744 Ni
0.000 0.839 0.256 Ni
0.000 0.332 0.500 Ni
0.500 0.156 0.745 Ni
0.500 0.156 0.255 Ni
0.500 0.681 0.000 Ni
0.500 0.650 0.500 Mo
```

Computed properties:
Symmetry: Pmm2 (25)
Total magnetic moment in μB/cell: 0.000
Formation enthalpy at 0 K in eV/atom: -0.154
Crystal system: orthorhombic

***

NbMoO4 | r²SCAN | optimized geometry

Geometry as POSCAR:
```
NbMoO4
1.0
0.325 4.604 -1.178
-4.751 0.199 -0.285
-0.150 0.789 3.042
Nb O Mo
1 4 1
direct
0.500 0.500 0.500 Nb
0.198 0.198 0.500 O
0.302 0.698 0.000 O
0.802 0.802 0.500 O
0.698 0.302 0.000 O
0.000 0.000 0.000 Mo
```

Computed properties:
Symmetry: Cmmm (65)
Total magnetic moment in μB/cell: 3.000
Formation enthalpy at 0 K in eV/atom: -2.338
Crystal system: orthorhombic

***

TaNbMo | r²SCAN | optimized geometry

Geometry as POSCAR:
```
TaNbMo
1.0
0.000 2.369 6.759
1.618 0.000 6.759
1.618 2.369 0.000
Nb Mo Ta
1 1 1
direct
0.338 0.338 0.662 Nb
0.001 0.001 0.999 Mo
0.662 0.662 0.338 Ta
```

Computed properties:
Symmetry: Fmm2 (42)
Total magnetic moment in μB/cell: 0.000
Formation enthalpy at 0 K in eV/atom: -0.060
Crystal system: orthorhombic